A plane-wave DFT calculation with PBE-GGA was carried out for crystalline MnCo5N4 at its relaxed geometry.

abc: 6.8315 5.9135 4.5275
angles: 90.00 90.00 90.00
Last column: nearest neighbours and their distance in Å.
Fractional coordinates of all 20 atoms:
Co: 0.7500 0.7500 0.7599  4 N 1.89-2.06
Mn: 0.7500 0.2500 0.6825  4 N 1.85-1.91
Co: 0.0645 0.0267 0.7466  3 N 1.84-1.95
N: 0.9846 0.2500 0.4548  5 Co 1.90-2.06, 1 Mn 1.91
N: 0.2500 0.9727 0.0318  3 Co 1.84-1.89, 1 Mn 1.85
N: 0.0154 0.7500 0.5452  5 Co 1.90-2.06, 1 Mn 1.91
Co: 0.5645 0.5267 0.2534  3 N 1.84-1.95
N: 0.4846 0.7500 0.5452  5 Co 1.90-2.06, 1 Mn 1.91
N: 0.5154 0.2500 0.4548  5 Co 1.90-2.06, 1 Mn 1.91
Co: 0.4355 0.4733 0.7466  3 N 1.84-1.95
Co: 0.9355 0.5267 0.2534  3 N 1.84-1.95
Co: 0.9355 0.9733 0.2534  3 N 1.84-1.95
Co: 0.4355 0.0267 0.7466  3 N 1.84-1.95
Co: 0.5645 0.9733 0.2534  3 N 1.84-1.95
N: 0.7500 0.0273 0.9682  3 Co 1.84-1.89, 1 Mn 1.85
Co: 0.0645 0.4733 0.7466  3 N 1.84-1.95
N: 0.7500 0.4727 0.9682  3 Co 1.84-1.89, 1 Mn 1.85
Co: 0.2500 0.2500 0.2401  4 N 1.89-2.06
N: 0.2500 0.5273 0.0318  3 Co 1.84-1.89, 1 Mn 1.85
Mn: 0.2500 0.7500 0.3175  4 N 1.85-1.91

Results
Its space group is Pmmn. The calculated formation energy is -0.067 eV/atom. The value obtained for the energy with MP2020 corrections is -0.2893 hartree per atom. Its size of the total moment is 0.0069 μB per atom.

A plane-wave DFT calculation with PBE-GGA was carried out for crystalline MnCo2N2 at its relaxed geometry.

abc: 2.8779 2.8779 6.4526
angles: 90.01 89.99 119.99
Last column: nearest neighbours and their distance in Å.
Fractional coordinates of all 5 atoms:
N: 0.3333 0.6667 0.3046  3 Co 1.89, 3 Mn 2.09
Co: 0.6667 0.3333 0.1644  3 N 1.89
Co: 0.3333 0.6667 0.8356  3 N 1.89
Mn: 0.0000 0.0000 0.5000  6 N 2.09
N: 0.6667 0.3333 0.6954  3 Co 1.89, 3 Mn 2.09

Results
Its space group is P-3m1. The calculated formation energy is -0.057 eV/atom. The value obtained for the energy with MP2020 corrections is -0.2965 hartree per atom. Its size of the total moment is 0.7461 μB per atom.

A plane-wave DFT calculation with PBE-GGA was carried out for crystalline MnCo2N2 at its relaxed geometry.

abc: 2.8117 2.8422 11.5248
angles: 90.00 90.00 90.00
Last column: nearest neighbours and their distance in Å.
Fractional coordinates of all 10 atoms:
N: 0.7500 0.7538 0.5899  1 Mn 1.86, 5 Co 1.93-2.07
Mn: 0.7500 0.8328 0.7500  2 N 1.86
Co: 0.7500 0.7122 0.4116  5 N 1.93-2.07
Co: 0.2500 0.2878 0.9116  5 N 1.93-2.07
Co: 0.2500 0.2878 0.5884  5 N 1.93-2.07
N: 0.2500 0.2462 0.4101  1 Mn 1.86, 5 Co 1.93-2.07
Co: 0.7500 0.7122 0.0884  5 N 1.93-2.07
Mn: 0.2500 0.1672 0.2500  2 N 1.86
N: 0.7500 0.7538 0.9101  1 Mn 1.86, 5 Co 1.93-2.07
N: 0.2500 0.2462 0.0899  1 Mn 1.86, 5 Co 1.93-2.07

Results
Its space group is Pmmn. The calculated formation energy is 0.041 eV/atom. The value obtained for the energy with MP2020 corrections is -0.2929 hartree per atom. Its size of the total moment is 0.5366 μB per atom.

A plane-wave DFT calculation with PBE-GGA was carried out for crystalline Mn2CoN2 at its relaxed geometry.

abc: 2.8659 2.8696 11.4921
angles: 90.00 90.00 90.00
Last column: nearest neighbours and their distance in Å.
Fractional coordinates of all 10 atoms:
Mn: 0.2464 0.2500 0.5985  5 N 2.03-2.14
Co: 0.2532 0.2500 0.2500  2 N 1.87
N: 0.2510 0.2500 0.0874  1 Co 1.87, 4 Mn 2.03-2.04
Mn: 0.7536 0.7500 0.4015  5 N 2.03-2.14
Mn: 0.7536 0.7500 0.0985  5 N 2.03-2.14
Co: 0.7468 0.7500 0.7500  2 N 1.87
N: 0.2510 0.2500 0.4126  1 Co 1.87, 4 Mn 2.03-2.04
Mn: 0.2464 0.2500 0.9015  5 N 2.03-2.14
N: 0.7490 0.7500 0.5874  1 Co 1.87, 4 Mn 2.03-2.04
N: 0.7490 0.7500 0.9126  1 Co 1.87, 4 Mn 2.03-2.04

Results
Its space group is Pmmn. The calculated formation energy is -0.329 eV/atom. The value obtained for the energy with MP2020 corrections is -0.3216 hartree per atom. Its size of the total moment is 1.3043 μB per atom.

A plane-wave DFT calculation with PBE-GGA was carried out for crystalline Mn10CoN8 at its relaxed geometry.

abc: 8.6236 3.9443 6.7474
angles: 90.00 66.09 76.78
Last column: nearest neighbours and their distance in Å.
Fractional coordinates of all 19 atoms:
N: 0.6054 0.6973 0.6962  5 Mn 1.83-2.01
Co: 0.0000 0.5000 0.5000  2 N 1.84
N: 0.2562 0.8719 0.6315  5 Mn 1.81-2.01
Mn: 0.2515 0.3743 0.6262  4 N 1.96-2.00
Mn: 0.0040 0.9980 0.2376  4 N 1.97-2.00
N: 0.7438 0.1281 0.3685  5 Mn 1.81-2.01
Mn: 0.2593 0.3704 0.1189  4 N 1.95-2.01
N: 0.9954 0.5023 0.7744  1 Co 1.84, 4 Mn 1.95-1.97
Mn: 0.7485 0.6257 0.3738  4 N 1.96-2.00
Mn: 0.3663 0.8168 0.8126  3 N 1.81-1.83
Mn: 0.9960 0.0020 0.7624  4 N 1.97-2.00
N: 0.3946 0.3027 0.3038  5 Mn 1.83-2.01
N: 0.0046 0.4977 0.2256  1 Co 1.84, 4 Mn 1.95-1.97
N: 0.7343 0.1328 0.8923  5 Mn 1.81-2.02
Mn: 0.7407 0.6296 0.8811  4 N 1.95-2.01
Mn: 0.6088 0.1956 0.6940  4 N 1.97-2.02
Mn: 0.6337 0.1832 0.1874  3 N 1.81-1.83
N: 0.2657 0.8672 0.1077  5 Mn 1.81-2.02
Mn: 0.3912 0.8044 0.3060  4 N 1.97-2.02

Results
Its space group is C2/m. The calculated formation energy is -0.323 eV/atom. The value obtained for the energy with MP2020 corrections is -0.3318 hartree per atom. Its size of the total moment is 0.9813 μB per atom.

A plane-wave DFT calculation with PBE-GGA was carried out for crystalline Mn3Co8N9 at its relaxed geometry.

abc: 5.8273 8.4247 16.0291
angles: 90.00 102.12 90.00
Last column: nearest neighbours and their distance in Å.
Fractional coordinates of all 80 atoms:
Mn: 0.4433 0.8699 0.2593  3 N 1.79-1.81
Co: 0.6833 0.0929 0.2172  4 N 1.87-2.02
Co: 0.0361 0.6154 0.6259  3 N 1.83-1.91
N: 0.4990 0.8122 0.7097  1 Mn 1.79, 2 Co 1.91-1.95
N: 0.0014 0.8280 0.6418  1 Mn 1.78, 3 Co 1.83-1.91
N: 0.0292 0.9099 0.8346  1 Mn 1.86, 4 Co 1.89-2.02
N: 0.9708 0.0901 0.1654  1 Mn 1.86, 4 Co 1.89-2.02
N: 0.5230 0.9518 0.8866  1 Mn 1.79, 3 Co 1.87-1.93
Mn: 0.2685 0.9288 0.9312  3 N 1.79-1.86
N: 0.7924 0.8477 0.4457  1 Mn 1.78, 2 Co 1.96-1.98
Co: 0.1806 0.1157 0.0490  4 N 1.90-2.07
Co: 0.9639 0.1154 0.8741  3 N 1.83-1.91
N: 0.4562 0.8749 0.5456  1 Mn 1.80, 4 Co 1.88-2.01
Co: 0.1768 0.3852 0.7751  4 N 1.89-1.95
N: 0.8485 0.1078 0.9716  3 Co 1.83-1.91, 1 Mn 1.85
N: 0.2338 0.9118 0.3257  1 Mn 1.81, 3 Co 1.82-1.89
Co: 0.1768 0.1148 0.2751  4 N 1.89-1.95
Co: 0.9639 0.3846 0.3741  3 N 1.83-1.91
Co: 0.5597 0.3997 0.0720  3 N 1.82-2.01
N: 0.4562 0.6251 0.0456  1 Mn 1.80, 4 Co 1.88-2.01
Mn: 0.7594 0.8224 0.5528  3 N 1.78-1.80
Co: 0.4313 0.6783 0.6031  4 N 1.90-2.02
Mn: 0.7594 0.6776 0.0528  3 N 1.78-1.80
Co: 0.5597 0.1003 0.5720  3 N 1.82-2.01
N: 0.2076 0.1523 0.5543  1 Mn 1.78, 2 Co 1.96-1.98
Co: 0.5687 0.1783 0.8969  4 N 1.90-2.02
Co: 0.3167 0.9071 0.7828  4 N 1.87-2.02
Mn: 0.5567 0.1301 0.7407  3 N 1.79-1.81
N: 0.7662 0.0882 0.6743  1 Mn 1.81, 3 Co 1.82-1.89
Co: 0.8194 0.6157 0.4510  4 N 1.90-2.07
N: 0.4770 0.0482 0.1134  1 Mn 1.79, 3 Co 1.87-1.93
N: 0.7924 0.6523 0.9457  1 Mn 1.78, 2 Co 1.96-1.98
Mn: 0.2685 0.5712 0.4312  3 N 1.79-1.86
Co: 0.4313 0.8217 0.1031  4 N 1.90-2.02
N: 0.2492 0.0868 0.7133  1 Mn 1.79, 3 Co 1.85-1.87
N: 0.9986 0.1720 0.3582  1 Mn 1.78, 3 Co 1.83-1.91
Co: 0.4403 0.6003 0.9280  3 N 1.82-2.01
Co: 0.2525 0.5463 0.1217  4 N 1.85-1.99
N: 0.4990 0.6878 0.2097  1 Mn 1.79, 2 Co 1.91-1.95
Mn: 0.7315 0.0712 0.0688  3 N 1.79-1.86
Co: 0.3167 0.5929 0.2828  4 N 1.87-2.02
Co: 0.8194 0.8843 0.9510  4 N 1.90-2.07
N: 0.1515 0.6078 0.5284  3 Co 1.83-1.91, 1 Mn 1.85
Co: 0.9914 0.6933 0.8584  4 N 1.83-2.03
N: 0.7508 0.5868 0.7867  1 Mn 1.79, 3 Co 1.85-1.87
Mn: 0.2406 0.1776 0.4472  3 N 1.78-1.80
N: 0.9986 0.3280 0.8582  1 Mn 1.78, 3 Co 1.83-1.91
Co: 0.1806 0.3843 0.5490  4 N 1.90-2.07
N: 0.8485 0.3922 0.4716  3 Co 1.83-1.91, 1 Mn 1.85
N: 0.7508 0.9132 0.2867  1 Mn 1.79, 3 Co 1.85-1.87
Co: 0.0361 0.8846 0.1259  3 N 1.83-1.91
N: 0.4770 0.4518 0.6134  1 Mn 1.79, 3 Co 1.87-1.93
Co: 0.6833 0.4071 0.7172  4 N 1.87-2.02
N: 0.7662 0.4118 0.1743  1 Mn 1.81, 3 Co 1.82-1.89
N: 0.2076 0.3477 0.0543  1 Mn 1.78, 2 Co 1.96-1.98
Co: 0.0086 0.3067 0.1416  4 N 1.83-2.03
Co: 0.5687 0.3217 0.3969  4 N 1.90-2.02
N: 0.0292 0.5901 0.3346  1 Mn 1.86, 4 Co 1.89-2.02
N: 0.2492 0.4132 0.2133  1 Mn 1.79, 3 Co 1.85-1.87
Mn: 0.2406 0.3224 0.9472  3 N 1.78-1.80
Co: 0.9914 0.8067 0.3584  4 N 1.83-2.03
N: 0.5438 0.1251 0.4544  1 Mn 1.80, 4 Co 1.88-2.01
N: 0.1515 0.8922 0.0284  3 Co 1.83-1.91, 1 Mn 1.85
N: 0.9708 0.4099 0.6654  1 Mn 1.86, 4 Co 1.89-2.02
N: 0.5438 0.3749 0.9544  1 Mn 1.80, 4 Co 1.88-2.01
Mn: 0.7315 0.4288 0.5688  3 N 1.79-1.86
Co: 0.8232 0.8852 0.7249  4 N 1.89-1.95
Co: 0.0086 0.1933 0.6416  4 N 1.83-2.03
Co: 0.4403 0.8997 0.4280  3 N 1.82-2.01
Mn: 0.4433 0.6301 0.7593  3 N 1.79-1.81
N: 0.5010 0.1878 0.2903  1 Mn 1.79, 2 Co 1.91-1.95
N: 0.5010 0.3122 0.7903  1 Mn 1.79, 2 Co 1.91-1.95
Co: 0.7475 0.0463 0.3783  4 N 1.85-1.99
N: 0.2338 0.5882 0.8257  1 Mn 1.81, 3 Co 1.82-1.89
Mn: 0.5567 0.3699 0.2407  3 N 1.79-1.81
Co: 0.7475 0.4537 0.8783  4 N 1.85-1.99
N: 0.5230 0.5482 0.3866  1 Mn 1.79, 3 Co 1.87-1.93
N: 0.0014 0.6720 0.1418  1 Mn 1.78, 3 Co 1.83-1.91
Co: 0.2525 0.9537 0.6217  4 N 1.85-1.99
Co: 0.8232 0.6148 0.2249  4 N 1.89-1.95

Results
Its space group is P2_1/c. The calculated formation energy is 0.019 eV/atom. The value obtained for the energy with MP2020 corrections is -0.2921 hartree per atom. Its size of the total moment is 0.0499 μB per atom.

A plane-wave DFT calculation with PBE-GGA was carried out for crystalline Mn2CoN2 at its relaxed geometry.

abc: 4.7180 5.9630 5.0360
angles: 90.00 90.00 129.19
Last column: nearest neighbours and their distance in Å.
Fractional coordinates of all 10 atoms:
Co: 0.0000 0.3184 0.0500  2 N 1.81
Mn: 0.3434 0.0957 0.8458  3 N 1.78-1.87
N: 0.4609 0.5737 0.1760  3 Mn 1.78-1.87, 1 Co 1.81
Co: 0.0000 0.6816 0.5500  2 N 1.81
N: 0.5391 0.1128 0.1760  3 Mn 1.78-1.87, 1 Co 1.81
Mn: 0.6566 0.9043 0.3458  3 N 1.78-1.87
N: 0.4609 0.8872 0.6760  3 Mn 1.78-1.87, 1 Co 1.81
Mn: 0.6566 0.7524 0.8458  3 N 1.78-1.87
Mn: 0.3434 0.2476 0.3458  3 N 1.78-1.87
N: 0.5391 0.4263 0.6760  3 Mn 1.78-1.87, 1 Co 1.81

Results
Its space group is Cmc2_1. The calculated formation energy is -0.057 eV/atom. The value obtained for the energy with MP2020 corrections is -0.3116 hartree per atom. Its size of the total moment is 0.5238 μB per atom.

Which of these has the highest size of the total moment? number 4